[1]
{"formula": "Li4Ti3Cr3W2O16", "functional": "PBE with a Hubbard U", "state": "relaxed", "delta_e_f_mev_per_atom": -2640, "m_tot_mub_per_cell": 12.980, "cell": [[5.1767, -2.9827, 0.0000], [5.1767, 2.9827, 0.0000], [-0.1899, 0.0000, 9.8410]], "species": ["Li", "Li", "Li", "Li", "Ti", "Ti", "Ti", "Cr", "Cr", "Cr", "W", "W", "O", "O", "O", "O", "O", "O", "O", "O", "O", "O", "O", "O", "O", "O", "O", "O"], "fractional_positions": [[0.0000, 0.0000, 0.0000], [0.0022, 0.0022, 0.4976], [0.3341, 0.3341, 0.0951], [0.6653, 0.6653, 0.5916], [0.1635, 0.6613, 0.7767], [0.6613, 0.1635, 0.7767], [0.8298, 0.8298, 0.2778], [0.1690, 0.1690, 0.7804], [0.3381, 0.8277, 0.2788], [0.8277, 0.3381, 0.2788], [0.3302, 0.3302, 0.5039], [0.6625, 0.6625, 0.0067], [0.9995, 0.9995, 0.6821], [0.0355, 0.4819, 0.6544], [0.1580, 0.6730, 0.3892], [0.1626, 0.1626, 0.3934], [0.3237, 0.8358, 0.8941], [0.3374, 0.3374, 0.8868], [0.4800, 0.4800, 0.6512], [0.4819, 0.0355, 0.6544], [0.5157, 0.5157, 0.1559], [0.5199, 0.9601, 0.1529], [0.6720, 0.6720, 0.3852], [0.6730, 0.1580, 0.3892], [0.8358, 0.3237, 0.8941], [0.8358, 0.8358, 0.8871], [0.9601, 0.5199, 0.1529], [0.9948, 0.9948, 0.1837]]}

***

[2]
{"formula": "Li2V4P4O15", "functional": "PBE with a Hubbard U", "state": "relaxed", "delta_e_f_mev_per_atom": -2560, "m_tot_mub_per_cell": 48.005, "cell": [[5.3843, -7.0620, 0.0000], [5.3843, 7.0620, 0.0000], [-3.4832, 0.0000, 17.9831]], "species": ["Li", "Li", "Li", "Li", "Li", "Li", "Li", "Li", "V", "V", "V", "V", "V", "V", "V", "V", "V", "V", "V", "V", "V", "V", "V", "V", "P", "P", "P", "P", "P", "P", "P", "P", "P", "P", "P", "P", "P", "P", "P", "P", "O", "O", "O", "O", "O", "O", "O", "O", "O", "O", "O", "O", "O", "O", "O", "O", "O", "O", "O", "O", "O", "O", "O", "O", "O", "O", "O", "O", "O", "O", "O", "O", "O", "O", "O", "O", "O", "O", "O", "O", "O", "O", "O", "O", "O", "O", "O", "O", "O", "O", "O", "O", "O", "O", "O", "O", "O", "O", "O", "O"], "fractional_positions": [[0.0372, 0.4805, 0.7421], [0.0562, 0.1574, 0.4282], [0.1574, 0.0562, 0.9282], [0.4805, 0.0372, 0.2421], [0.5195, 0.9628, 0.7579], [0.8426, 0.9438, 0.0718], [0.9438, 0.8426, 0.5718], [0.9628, 0.5195, 0.2579], [0.0000, 0.5000, 0.0000], [0.0438, 0.9562, 0.2500], [0.2253, 0.5934, 0.4358], [0.3127, 0.6873, 0.2500], [0.3576, 0.4549, 0.9297], [0.4066, 0.7747, 0.0642], [0.4549, 0.3576, 0.4297], [0.4552, 0.5448, 0.7500], [0.5000, 0.0000, 0.5000], [0.5448, 0.4552, 0.2500], [0.5451, 0.6424, 0.5703], [0.5934, 0.2253, 0.9358], [0.6424, 0.5451, 0.0703], [0.6873, 0.3127, 0.7500], [0.7747, 0.4066, 0.5642], [0.9562, 0.0438, 0.7500], [0.0364, 0.7328, 0.1205], [0.1870, 0.4788, 0.6022], [0.2021, 0.3431, 0.3188], [0.2672, 0.9636, 0.3795], [0.2756, 0.4049, 0.1009], [0.3431, 0.2021, 0.8188], [0.4049, 0.2756, 0.6009], [0.4788, 0.1870, 0.1022], [0.5212, 0.8130, 0.8978], [0.5950, 0.7244, 0.3991], [0.6569, 0.7979, 0.1812], [0.7244, 0.5950, 0.8991], [0.7328, 0.0364, 0.6205], [0.7979, 0.6569, 0.6812], [0.8130, 0.5212, 0.3978], [0.9636, 0.2672, 0.8795], [0.0154, 0.4319, 0.5706], [0.0171, 0.9020, 0.1280], [0.0754, 0.2096, 0.2695], [0.0759, 0.7014, 0.2023], [0.0980, 0.9829, 0.3720], [0.1012, 0.3748, 0.0762], [0.1134, 0.3980, 0.9187], [0.1607, 0.7144, 0.0700], [0.1762, 0.5101, 0.3100], [0.1981, 0.3403, 0.4060], [0.2096, 0.0754, 0.7695], [0.2243, 0.5309, 0.6870], [0.2365, 0.3119, 0.5857], [0.2856, 0.8393, 0.4300], [0.2898, 0.5971, 0.5589], [0.2986, 0.9241, 0.2977], [0.3119, 0.2365, 0.0857], [0.3327, 0.4744, 0.1832], [0.3349, 0.3738, 0.8128], [0.3403, 0.1981, 0.9060], [0.3738, 0.3349, 0.3128], [0.3748, 0.1012, 0.5762], [0.3834, 0.5129, 0.0525], [0.3980, 0.1134, 0.4187], [0.4029, 0.7102, 0.9411], [0.4319, 0.0154, 0.0706], [0.4691, 0.7757, 0.8130], [0.4744, 0.3327, 0.6832], [0.4871, 0.6166, 0.4475], [0.4899, 0.8238, 0.1900], [0.5101, 0.1762, 0.8100], [0.5129, 0.3834, 0.5525], [0.5256, 0.6673, 0.3168], [0.5309, 0.2243, 0.1870], [0.5681, 0.9846, 0.9294], [0.5971, 0.2898, 0.0589], [0.6020, 0.8866, 0.5813], [0.6166, 0.4871, 0.9475], [0.6252, 0.8988, 0.4238], [0.6262, 0.6651, 0.6872], [0.6597, 0.8019, 0.0940], [0.6651, 0.6262, 0.1872], [0.6673, 0.5256, 0.8168], [0.6881, 0.7635, 0.9143], [0.7014, 0.0759, 0.7023], [0.7102, 0.4029, 0.4411], [0.7144, 0.1607, 0.5700], [0.7635, 0.6881, 0.4143], [0.7757, 0.4691, 0.3130], [0.7904, 0.9246, 0.2305], [0.8019, 0.6597, 0.5940], [0.8238, 0.4899, 0.6900], [0.8393, 0.2856, 0.9300], [0.8866, 0.6020, 0.0813], [0.8988, 0.6252, 0.9238], [0.9020, 0.0171, 0.6280], [0.9241, 0.2986, 0.7977], [0.9246, 0.7904, 0.7305], [0.9829, 0.0980, 0.8720], [0.9846, 0.5681, 0.4294]]}

***

[3]
{"formula": "Li6V3W3O16", "functional": "PBE with a Hubbard U", "state": "relaxed", "e_above_lowest_polymorph_mev_per_atom": 0, "delta_e_f_mev_per_atom": -2319, "m_tot_mub_per_cell": 7.000, "cell": [[6.0677, 0.0000, 0.0000], [3.0104, 5.2764, 0.0000], [0.1517, 0.1136, 10.1152]], "species": ["Li", "Li", "Li", "Li", "Li", "Li", "V", "V", "V", "W", "W", "W", "O", "O", "O", "O", "O", "O", "O", "O", "O", "O", "O", "O", "O", "O", "O", "O"], "fractional_positions": [[0.0000, 0.0000, 0.0000], [0.0042, 0.0008, 0.5039], [0.3399, 0.3328, 0.4920], [0.3435, 0.3372, 0.1050], [0.6717, 0.6724, 0.9854], [0.6776, 0.6680, 0.6127], [0.1770, 0.6700, 0.7860], [0.6740, 0.1773, 0.7861], [0.8432, 0.8379, 0.2869], [0.1815, 0.1749, 0.7855], [0.3503, 0.8353, 0.2849], [0.8405, 0.3459, 0.2848], [0.0126, 0.0229, 0.6828], [0.0156, 0.0116, 0.1793], [0.0388, 0.4832, 0.6801], [0.1631, 0.1571, 0.3976], [0.1709, 0.6990, 0.3921], [0.3115, 0.8604, 0.8914], [0.3400, 0.3204, 0.8976], [0.4869, 0.0309, 0.6801], [0.5123, 0.4708, 0.6874], [0.5171, 0.9799, 0.1817], [0.5211, 0.5176, 0.1711], [0.6720, 0.6662, 0.4019], [0.7043, 0.1652, 0.3911], [0.8433, 0.8709, 0.8839], [0.8671, 0.3109, 0.8924], [0.9849, 0.5126, 0.1812]]}

***

[4]
{"formula": "Li4Co5SnO12", "functional": "PBE with a Hubbard U", "state": "relaxed", "e_above_lowest_polymorph_mev_per_atom": 39, "delta_e_f_mev_per_atom": -1637, "m_tot_mub_per_cell": 0.806, "cell": [[5.0826, 0.0000, 0.0000], [-2.4850, 4.4402, 0.0000], [-0.8996, -1.5117, 19.7662]], "species": ["Li", "Li", "Li", "Li", "Li", "Li", "Li", "Li", "Co", "Co", "Co", "Co", "Co", "Co", "Co", "Co", "Co", "Co", "Sn", "Sn", "O", "O", "O", "O", "O", "O", "O", "O", "O", "O", "O", "O", "O", "O", "O", "O", "O", "O", "O", "O", "O", "O", "O", "O"], "fractional_positions": [[0.0000, 0.0000, 0.0000], [0.0771, 0.0835, 0.2602], [0.1639, 0.8445, 0.5009], [0.2437, 0.9279, 0.7601], [0.4991, 0.5078, 0.5008], [0.5800, 0.5872, 0.7604], [0.6606, 0.3447, 0.0013], [0.7437, 0.4217, 0.2592], [0.0376, 0.0480, 0.1300], [0.1204, 0.4658, 0.3804], [0.2061, 0.8847, 0.6305], [0.2873, 0.2994, 0.8804], [0.4525, 0.1309, 0.3800], [0.5393, 0.5511, 0.6306], [0.6196, 0.9673, 0.8804], [0.7030, 0.3832, 0.1303], [0.7854, 0.7976, 0.3800], [0.9538, 0.6326, 0.8804], [0.3722, 0.7201, 0.1305], [0.8678, 0.2128, 0.6304], [0.0123, 0.7072, 0.0730], [0.0283, 0.3846, 0.1837], [0.0713, 0.7520, 0.3285], [0.1708, 0.1797, 0.4320], [0.2022, 0.5455, 0.5755], [0.2332, 0.2297, 0.6871], [0.2790, 0.6290, 0.8328], [0.2887, 0.9895, 0.9308], [0.3695, 0.3574, 0.0754], [0.3830, 0.0787, 0.1883], [0.4062, 0.4171, 0.3284], [0.4584, 0.8035, 0.4285], [0.5059, 0.1962, 0.5729], [0.5440, 0.8904, 0.6880], [0.5973, 0.2988, 0.8299], [0.6512, 0.6359, 0.9312], [0.7014, 0.0540, 0.0743], [0.7309, 0.7253, 0.1867], [0.7811, 0.1264, 0.3322], [0.8343, 0.5157, 0.4321], [0.8528, 0.8521, 0.5730], [0.8829, 0.5784, 0.6866], [0.9501, 0.9355, 0.8298], [0.9581, 0.3074, 0.9281]]}

***

[5]
{"formula": "NaCo2H3S2O10", "functional": "PBE with a Hubbard U", "state": "relaxed", "e_above_lowest_polymorph_mev_per_atom": 0, "delta_e_f_mev_per_atom": -1711, "m_tot_mub_per_cell": 0.000, "cell": [[4.3760, -3.2062, 0.0000], [4.3760, 3.2062, 0.0000], [-3.2584, 0.0000, 6.7113]], "species": ["Na", "Co", "Co", "H", "H", "H", "S", "S", "O", "O", "O", "O", "O", "O", "O", "O", "O", "O"], "fractional_positions": [[0.0000, 0.0000, 0.0000], [0.4946, 0.9988, 0.5013], [0.9988, 0.4946, 0.5013], [0.1885, 0.1885, 0.7267], [0.8003, 0.8003, 0.2671], [0.9847, 0.9847, 0.4898], [0.4041, 0.4041, 0.2050], [0.5937, 0.5937, 0.7948], [0.1499, 0.1499, 0.5811], [0.2780, 0.2780, 0.9967], [0.2937, 0.6776, 0.7469], [0.3081, 0.3081, 0.3342], [0.3204, 0.7043, 0.2522], [0.6776, 0.2937, 0.7469], [0.6912, 0.6912, 0.6671], [0.7043, 0.3204, 0.2522], [0.7199, 0.7199, 0.0035], [0.8414, 0.8414, 0.4138]]}

***

[6]
{"formula": "Li4Cr3FeO8", "functional": "PBE with a Hubbard U", "state": "relaxed", "e_above_lowest_polymorph_mev_per_atom": 20, "delta_e_f_mev_per_atom": -2274, "m_tot_mub_per_cell": 28.000, "cell": [[5.1222, 0.0000, 0.0000], [2.5276, 7.3479, 0.0000], [0.8423, 0.8748, 7.6955]], "species": ["Li", "Li", "Li", "Li", "Li", "Li", "Li", "Li", "Cr", "Cr", "Cr", "Cr", "Cr", "Cr", "Fe", "Fe", "O", "O", "O", "O", "O", "O", "O", "O", "O", "O", "O", "O", "O", "O", "O", "O"], "fractional_positions": [[0.0000, 0.0000, 0.0000], [0.9996, 0.1249, 0.6256], [0.0000, 0.5000, 0.5000], [0.0004, 0.8751, 0.3744], [0.0011, 0.3757, 0.8715], [0.0010, 0.7492, 0.7508], [0.9990, 0.2508, 0.2492], [0.9989, 0.6243, 0.1285], [0.4998, 0.0643, 0.8120], [0.5001, 0.1904, 0.4376], [0.4997, 0.3145, 0.0615], [0.5003, 0.6855, 0.9385], [0.4999, 0.8096, 0.5624], [0.5002, 0.9357, 0.1880], [0.4999, 0.4383, 0.6856], [0.5001, 0.5617, 0.3144], [0.2734, 0.1516, 0.0306], [0.2737, 0.0266, 0.4058], [0.2736, 0.9012, 0.7809], [0.2755, 0.5253, 0.9006], [0.2760, 0.7717, 0.1587], [0.2765, 0.2799, 0.6550], [0.2767, 0.4045, 0.2806], [0.2774, 0.6464, 0.5293], [0.7226, 0.3536, 0.4707], [0.7233, 0.5955, 0.7194], [0.7235, 0.7201, 0.3450], [0.7240, 0.2283, 0.8413], [0.7245, 0.4747, 0.0994], [0.7264, 0.0988, 0.2191], [0.7263, 0.9734, 0.5942], [0.7266, 0.8484, 0.9694]]}

***

[7]
{"formula": "Dy2W3O12", "functional": "PBE with a Hubbard U", "state": "relaxed", "delta_e_f_mev_per_atom": -2745, "m_tot_mub_per_cell": 0.000, "cell": [[3.8799, -5.7387, 0.0000], [3.8799, 5.7387, 0.0000], [-3.8047, 0.0000, 10.7559]], "species": ["Dy", "Dy", "Dy", "Dy", "W", "W", "W", "W", "W", "W", "O", "O", "O", "O", "O", "O", "O", "O", "O", "O", "O", "O", "O", "O", "O", "O", "O", "O", "O", "O", "O", "O", "O", "O"], "fractional_positions": [[0.0418, 0.2882, 0.0928], [0.2882, 0.0418, 0.5928], [0.7118, 0.9582, 0.4072], [0.9582, 0.7118, 0.9072], [0.1318, 0.8682, 0.2500], [0.2468, 0.4599, 0.4499], [0.4599, 0.2468, 0.9499], [0.5401, 0.7532, 0.0501], [0.7532, 0.5401, 0.5501], [0.8682, 0.1318, 0.7500], [0.0773, 0.6605, 0.1052], [0.0798, 0.1811, 0.4600], [0.1000, 0.4584, 0.2981], [0.1292, 0.2087, 0.7204], [0.1811, 0.0798, 0.9600], [0.2087, 0.1292, 0.2204], [0.2301, 0.6670, 0.5612], [0.3330, 0.7699, 0.9388], [0.3395, 0.9227, 0.3948], [0.3936, 0.4707, 0.0737], [0.4584, 0.1000, 0.7981], [0.4707, 0.3936, 0.5737], [0.5293, 0.6064, 0.4263], [0.5416, 0.9000, 0.2019], [0.6064, 0.5293, 0.9263], [0.6605, 0.0773, 0.6052], [0.6670, 0.2301, 0.0612], [0.7699, 0.3330, 0.4388], [0.7913, 0.8708, 0.7796], [0.8189, 0.9202, 0.0400], [0.8708, 0.7913, 0.2796], [0.9000, 0.5416, 0.7019], [0.9202, 0.8189, 0.5400], [0.9227, 0.3395, 0.8948]]}

***

[8]
{"formula": "Ba2EuCrO6", "functional": "PBE with a Hubbard U", "state": "relaxed", "delta_e_f_mev_per_atom": -2684, "m_tot_mub_per_cell": 28.000, "cell": [[8.4238, 0.0000, 0.0000], [0.0000, 8.4238, 0.0000], [0.0000, 0.0000, 8.4238]], "species": ["Ba", "Ba", "Ba", "Ba", "Ba", "Ba", "Ba", "Ba", "Eu", "Eu", "Eu", "Eu", "Cr", "Cr", "Cr", "Cr", "O", "O", "O", "O", "O", "O", "O", "O", "O", "O", "O", "O", "O", "O", "O", "O", "O", "O", "O", "O", "O", "O", "O", "O"], "fractional_positions": [[0.2500, 0.2500, 0.2500], [0.2500, 0.2500, 0.7500], [0.2500, 0.7500, 0.2500], [0.2500, 0.7500, 0.7500], [0.7500, 0.2500, 0.2500], [0.7500, 0.2500, 0.7500], [0.7500, 0.7500, 0.2500], [0.7500, 0.7500, 0.7500], [0.0000, 0.0000, 0.0000], [0.0000, 0.5000, 0.5000], [0.5000, 0.0000, 0.5000], [0.5000, 0.5000, 0.0000], [0.0000, 0.0000, 0.5000], [0.0000, 0.5000, 0.0000], [0.5000, 0.0000, 0.0000], [0.5000, 0.5000, 0.5000], [0.0097, 0.2283, 0.5115], [0.0097, 0.2717, 0.9885], [0.0115, 0.5097, 0.7717], [0.0115, 0.9903, 0.7283], [0.2283, 0.5115, 0.0097], [0.2283, 0.9885, 0.4903], [0.2717, 0.5115, 0.4903], [0.2717, 0.9885, 0.0097], [0.4885, 0.5097, 0.7283], [0.4885, 0.9903, 0.7717], [0.4903, 0.2283, 0.9885], [0.4903, 0.2717, 0.5115], [0.5097, 0.7283, 0.4885], [0.5097, 0.7717, 0.0115], [0.5115, 0.0097, 0.2283], [0.5115, 0.4903, 0.2717], [0.7283, 0.0115, 0.9903], [0.7283, 0.4885, 0.5097], [0.7717, 0.0115, 0.5097], [0.7717, 0.4885, 0.9903], [0.9885, 0.0097, 0.2717], [0.9885, 0.4903, 0.2283], [0.9903, 0.7283, 0.0115], [0.9903, 0.7717, 0.4885]]}

***

Quick rundown of E (MP2020), same order as above: -8.546 -8.001 -7.917 -6.481 -6.349 -7.564 -9.067 -8.027 eV per atom
Quick rundown of ρ, same order as above: 5.197 2.824 5.138 4.714 3.245 4.215 7.409 6.385 g cm⁻³